{
  "formula": "Mg14CdB",
  "functional": "PBE",
  "state": "relaxed",
  "lattice": [[-0.613, 5.811, 2.165], [-3.691, -4.534, 2.157], [6.770, -2.019, 7.338]],
  "species": ["Mg", "Mg", "Mg", "Mg", "Mg", "Mg", "Mg", "Mg", "Mg", "Mg", "Mg", "Mg", "Mg", "Mg", "Cd", "B"],
  "fractional_positions": [[0.329, 0.171, 0.383], [0.841, 0.171, 0.383], [0.668, 0.832, 0.625], [0.833, 0.667, 0.877], [0.329, 0.171, 0.867], [0.329, 0.659, 0.383], [0.668, 0.337, 0.625], [0.666, 0.333, 0.125], [0.833, 0.667, 0.373], [0.841, 0.171, 0.867], [0.163, 0.832, 0.625], [0.329, 0.659, 0.867], [0.666, 0.834, 0.125], [0.167, 0.834, 0.125], [0.167, 0.333, 0.125], [0.167, 0.333, 0.625]],
  "e_tot_ev_per_atom": -1.7144,
  "e_above_lowest_polymorph_mev_per_atom": 2.3,
  "ef_kcal_per_mol_atoms": 3.71
}

=====

{
  "formula": "Mg14CdB",
  "functional": "PBE",
  "state": "relaxed",
  "lattice": [[6.216, -0.046, 0.000], [-3.148, 5.452, 0.000], [0.000, 0.000, 10.175]],
  "species": ["Cd", "Mg", "Mg", "Mg", "Mg", "Mg", "Mg", "Mg", "Mg", "Mg", "Mg", "Mg", "Mg", "Mg", "Mg", "B"],
  "fractional_positions": [[0.176, 0.338, 0.125], [0.324, 0.671, 0.354], [0.705, 0.358, 0.125], [0.837, 0.668, 0.370], [0.170, 0.835, 0.625], [0.663, 0.334, 0.625], [0.172, 0.336, 0.625], [0.705, 0.848, 0.125], [0.324, 0.153, 0.354], [0.324, 0.153, 0.896], [0.663, 0.829, 0.625], [0.832, 0.166, 0.871], [0.324, 0.671, 0.896], [0.837, 0.668, 0.880], [0.832, 0.166, 0.379], [0.112, 0.806, 0.125]],
  "e_tot_ev_per_atom": -1.7167,
  "e_above_lowest_polymorph_mev_per_atom": 0.0,
  "ef_kcal_per_mol_atoms": 3.66
}

=====

{
  "formula": "Mg6CdB",
  "functional": "PBE",
  "state": "relaxed",
  "lattice": [[4.806, 0.000, 0.000], [0.000, 6.142, 0.000], [0.000, 0.000, 11.056]],
  "species": ["Mg", "Mg", "Mg", "Mg", "Mg", "Mg", "Mg", "Mg", "Mg", "Mg", "Mg", "Mg", "B", "B", "Cd", "Cd"],
  "fractional_positions": [[0.000, 0.227, 0.602], [0.000, 0.273, 0.102], [0.000, 0.727, 0.102], [0.000, 0.000, 0.337], [0.500, 0.500, 0.667], [0.500, 0.251, 0.922], [0.000, 0.773, 0.602], [0.500, 0.000, 0.167], [0.500, 0.751, 0.422], [0.500, 0.249, 0.422], [0.500, 0.749, 0.922], [0.000, 0.500, 0.837], [0.500, 0.500, 0.096], [0.500, 0.000, 0.596], [0.000, 0.500, 0.352], [0.000, 0.000, 0.852]],
  "e_tot_ev_per_atom": -1.8447,
  "e_above_lowest_polymorph_mev_per_atom": 0.0,
  "ef_kcal_per_mol_atoms": 7.05
}

=====

{
  "formula": "CdB2O4",
  "functional": "PBE",
  "state": "relaxed",
  "lattice": [[-2.782, 0.798, 5.776], [-0.108, -11.250, 1.502], [10.264, 0.552, 4.867]],
  "species": ["O", "O", "O", "O", "O", "O", "O", "O", "O", "O", "O", "O", "O", "O", "O", "O", "O", "O", "O", "O", "O", "O", "O", "O", "O", "O", "O", "O", "O", "O", "O", "O", "O", "O", "O", "O", "O", "O", "O", "O", "O", "O", "O", "O", "O", "O", "O", "O", "B", "B", "B", "B", "B", "B", "B", "B", "B", "B", "B", "B", "B", "B", "B", "B", "B", "B", "B", "B", "B", "B", "B", "B", "Cd", "Cd", "Cd", "Cd", "Cd", "Cd", "Cd", "Cd", "Cd", "Cd", "Cd", "Cd"],
  "fractional_positions": [[0.537, 0.779, 0.673], [0.037, 0.075, 0.203], [0.797, 0.496, 0.030], [0.963, 0.925, 0.703], [0.703, 0.996, 0.030], [0.172, 0.447, 0.256], [0.488, 0.155, 0.967], [0.127, 0.698, 0.449], [0.203, 0.504, 0.530], [0.297, 0.004, 0.530], [0.477, 0.605, 0.803], [0.512, 0.845, 0.467], [0.963, 0.279, 0.673], [0.290, 0.170, 0.664], [0.023, 0.105, 0.803], [0.365, 0.959, 0.950], [0.463, 0.575, 0.203], [0.029, 0.142, 0.513], [0.865, 0.541, 0.450], [0.694, 0.239, 0.540], [0.463, 0.221, 0.173], [0.306, 0.761, 0.040], [0.523, 0.395, 0.303], [0.697, 0.208, 0.330], [0.210, 0.670, 0.664], [0.988, 0.345, 0.467], [0.873, 0.302, 0.949], [0.471, 0.642, 0.513], [0.194, 0.261, 0.040], [0.828, 0.553, 0.756], [0.012, 0.655, 0.967], [0.529, 0.358, 0.013], [0.537, 0.425, 0.703], [0.373, 0.198, 0.449], [0.197, 0.292, 0.830], [0.803, 0.708, 0.330], [0.977, 0.895, 0.303], [0.037, 0.721, 0.173], [0.635, 0.041, 0.450], [0.135, 0.459, 0.950], [0.303, 0.792, 0.830], [0.328, 0.947, 0.256], [0.672, 0.053, 0.756], [0.971, 0.858, 0.013], [0.806, 0.739, 0.540], [0.710, 0.830, 0.164], [0.627, 0.802, 0.949], [0.790, 0.330, 0.164], [0.904, 0.677, 0.443], [0.596, 0.177, 0.443], [0.883, 0.788, 0.241], [0.625, 0.526, 0.751], [0.117, 0.212, 0.741], [0.404, 0.823, 0.943], [0.875, 0.026, 0.751], [0.125, 0.974, 0.251], [0.520, 0.037, 0.980], [0.617, 0.288, 0.241], [0.249, 0.138, 0.538], [0.375, 0.474, 0.251], [0.920, 0.249, 0.549], [0.480, 0.963, 0.480], [0.980, 0.537, 0.980], [0.383, 0.712, 0.741], [0.749, 0.362, 0.038], [0.251, 0.638, 0.538], [0.020, 0.463, 0.480], [0.080, 0.751, 0.049], [0.096, 0.323, 0.943], [0.751, 0.862, 0.038], [0.420, 0.251, 0.049], [0.580, 0.749, 0.549], [0.549, 0.427, 0.503], [0.114, 0.253, 0.275], [0.154, 0.468, 0.733], [0.846, 0.532, 0.233], [0.049, 0.073, 0.003], [0.386, 0.753, 0.275], [0.614, 0.247, 0.775], [0.654, 0.032, 0.233], [0.951, 0.927, 0.503], [0.886, 0.747, 0.775], [0.346, 0.968, 0.733], [0.451, 0.573, 0.003]],
  "e_tot_ev_per_atom": -6.9211,
  "e_above_lowest_polymorph_mev_per_atom": 3.1,
  "ef_kcal_per_mol_atoms": -56.41
}

=====

{
  "formula": "CdB2O4",
  "functional": "PBE",
  "state": "relaxed",
  "lattice": [[-2.742, 0.864, 8.500], [-6.009, -0.111, -6.663], [-0.503, -7.233, 0.573]],
  "species": ["O", "O", "O", "O", "O", "O", "O", "O", "O", "O", "O", "O", "O", "O", "O", "O", "O", "O", "O", "O", "O", "O", "O", "O", "O", "O", "O", "O", "O", "O", "O", "O", "Cd", "Cd", "Cd", "Cd", "Cd", "Cd", "Cd", "Cd", "B", "B", "B", "B", "B", "B", "B", "B", "B", "B", "B", "B", "B", "B", "B", "B"],
  "fractional_positions": [[0.329, 0.092, 0.538], [0.187, 0.003, 0.828], [0.813, 0.997, 0.328], [0.997, 0.184, 0.828], [0.504, 0.696, 0.795], [0.092, 0.763, 0.038], [0.297, 0.005, 0.222], [0.995, 0.292, 0.222], [0.696, 0.192, 0.295], [0.763, 0.671, 0.538], [0.713, 0.507, 0.828], [0.493, 0.206, 0.828], [0.908, 0.237, 0.538], [0.671, 0.908, 0.038], [0.005, 0.708, 0.722], [0.192, 0.496, 0.795], [0.292, 0.297, 0.722], [0.304, 0.808, 0.795], [0.808, 0.504, 0.295], [0.708, 0.703, 0.222], [0.333, 0.667, 0.060], [0.003, 0.816, 0.328], [0.667, 0.333, 0.560], [0.287, 0.493, 0.328], [0.794, 0.287, 0.828], [0.184, 0.187, 0.328], [0.703, 0.995, 0.722], [0.237, 0.329, 0.038], [0.507, 0.794, 0.328], [0.816, 0.813, 0.828], [0.206, 0.713, 0.328], [0.496, 0.304, 0.295], [0.046, 0.524, 0.543], [0.476, 0.521, 0.543], [0.000, 0.000, 0.562], [0.524, 0.479, 0.043], [0.000, 0.000, 0.062], [0.479, 0.954, 0.543], [0.521, 0.046, 0.043], [0.954, 0.476, 0.043], [0.327, 0.152, 0.731], [0.152, 0.825, 0.231], [0.329, 0.152, 0.346], [0.825, 0.673, 0.731], [0.823, 0.671, 0.346], [0.177, 0.329, 0.846], [0.848, 0.177, 0.346], [0.671, 0.848, 0.846], [0.673, 0.848, 0.231], [0.667, 0.333, 0.367], [0.848, 0.175, 0.731], [0.333, 0.667, 0.867], [0.333, 0.667, 0.251], [0.175, 0.327, 0.231], [0.667, 0.333, 0.751], [0.152, 0.823, 0.846]],
  "e_tot_ev_per_atom": -6.9147,
  "e_above_lowest_polymorph_mev_per_atom": 9.6,
  "ef_kcal_per_mol_atoms": -56.26,
  "e_ij_max_c_m2": 0.77
}

=====

{
  "formula": "CdB4O7",
  "functional": "PBE",
  "state": "relaxed",
  "lattice": [[8.421, 0.000, 0.000], [0.000, 8.913, 0.000], [0.000, 0.000, 14.355]],
  "species": ["Cd", "Cd", "Cd", "Cd", "Cd", "Cd", "Cd", "Cd", "O", "O", "O", "O", "O", "O", "O", "O", "O", "O", "O", "O", "O", "O", "O", "O", "O", "O", "O", "O", "O", "O", "O", "O", "O", "O", "O", "O", "O", "O", "O", "O", "O", "O", "O", "O", "O", "O", "O", "O", "O", "O", "O", "O", "O", "O", "O", "O", "O", "O", "O", "O", "O", "O", "O", "O", "B", "B", "B", "B", "B", "B", "B", "B", "B", "B", "B", "B", "B", "B", "B", "B", "B", "B", "B", "B", "B", "B", "B", "B", "B", "B", "B", "B", "B", "B", "B", "B"],
  "fractional_positions": [[0.374, 0.889, 0.614], [0.874, 0.889, 0.886], [0.874, 0.611, 0.386], [0.626, 0.111, 0.386], [0.126, 0.389, 0.614], [0.374, 0.611, 0.114], [0.626, 0.389, 0.886], [0.126, 0.111, 0.114], [0.848, 0.131, 0.000], [0.652, 0.869, 0.500], [0.663, 0.055, 0.116], [0.531, 0.886, 0.352], [0.152, 0.631, 0.500], [0.611, 0.861, 0.900], [0.047, 0.423, 0.192], [0.663, 0.445, 0.616], [0.889, 0.361, 0.900], [0.032, 0.322, 0.755], [0.469, 0.386, 0.148], [0.152, 0.869, 0.000], [0.389, 0.361, 0.600], [0.348, 0.369, 0.000], [0.968, 0.822, 0.745], [0.848, 0.369, 0.500], [0.399, 0.761, 0.483], [0.899, 0.761, 0.017], [0.453, 0.923, 0.192], [0.532, 0.178, 0.245], [0.468, 0.822, 0.755], [0.111, 0.639, 0.100], [0.969, 0.386, 0.352], [0.031, 0.886, 0.148], [0.652, 0.631, 0.000], [0.032, 0.178, 0.255], [0.601, 0.239, 0.517], [0.953, 0.577, 0.808], [0.163, 0.445, 0.884], [0.337, 0.555, 0.384], [0.469, 0.114, 0.648], [0.968, 0.678, 0.245], [0.389, 0.139, 0.100], [0.837, 0.555, 0.116], [0.337, 0.945, 0.884], [0.899, 0.739, 0.517], [0.969, 0.114, 0.852], [0.547, 0.077, 0.808], [0.047, 0.077, 0.692], [0.532, 0.322, 0.745], [0.468, 0.678, 0.255], [0.399, 0.739, 0.983], [0.453, 0.577, 0.692], [0.111, 0.861, 0.600], [0.953, 0.923, 0.308], [0.547, 0.423, 0.308], [0.889, 0.139, 0.400], [0.611, 0.639, 0.400], [0.837, 0.945, 0.616], [0.601, 0.261, 0.017], [0.348, 0.131, 0.500], [0.163, 0.055, 0.384], [0.031, 0.614, 0.648], [0.101, 0.261, 0.483], [0.101, 0.239, 0.983], [0.531, 0.614, 0.852], [0.445, 0.283, 0.065], [0.516, 0.332, 0.234], [0.991, 0.931, 0.662], [0.555, 0.783, 0.435], [0.484, 0.668, 0.766], [0.491, 0.569, 0.338], [0.491, 0.931, 0.838], [0.984, 0.668, 0.734], [0.009, 0.431, 0.838], [0.945, 0.217, 0.935], [0.516, 0.168, 0.734], [0.009, 0.069, 0.338], [0.704, 0.148, 0.045], [0.555, 0.717, 0.935], [0.296, 0.852, 0.955], [0.204, 0.148, 0.455], [0.055, 0.783, 0.065], [0.984, 0.832, 0.234], [0.204, 0.352, 0.955], [0.445, 0.217, 0.565], [0.055, 0.717, 0.565], [0.016, 0.168, 0.766], [0.016, 0.332, 0.266], [0.509, 0.069, 0.162], [0.509, 0.431, 0.662], [0.296, 0.648, 0.455], [0.704, 0.352, 0.545], [0.796, 0.852, 0.545], [0.991, 0.569, 0.162], [0.796, 0.648, 0.045], [0.484, 0.832, 0.266], [0.945, 0.283, 0.435]],
  "e_tot_ev_per_atom": -7.4415,
  "ef_kcal_per_mol_atoms": -61.17
}

=====

{
  "formula": "CdBO3",
  "functional": "PBE",
  "state": "relaxed",
  "lattice": [[3.502, 0.000, 0.000], [0.000, 3.502, 0.000], [0.000, 0.000, 3.502]],
  "species": ["O", "O", "O", "B", "Cd"],
  "fractional_positions": [[0.500, 0.500, 0.000], [0.000, 0.500, 0.500], [0.500, 0.000, 0.500], [0.500, 0.500, 0.500], [0.000, 0.000, 0.000]],
  "e_tot_ev_per_atom": -5.0728,
  "ef_kcal_per_mol_atoms": -22.96
}

=====

{
  "formula": "CdB2O4",
  "functional": "PBE",
  "state": "relaxed",
  "lattice": [[5.183, -5.831, 0.000], [5.183, 5.831, 0.000], [-1.376, 0.000, 7.679]],
  "species": ["O", "O", "O", "O", "O", "O", "O", "O", "O", "O", "O", "O", "O", "O", "O", "O", "O", "O", "O", "O", "O", "O", "O", "O", "Cd", "Cd", "Cd", "Cd", "Cd", "Cd", "B", "B", "B", "B", "B", "B", "B", "B", "B", "B", "B", "B"],
  "fractional_positions": [[0.240, 0.932, 0.398], [0.413, 0.592, 0.367], [0.091, 0.177, 0.325], [0.190, 0.634, 0.557], [0.867, 0.092, 0.913], [0.634, 0.557, 0.190], [0.825, 0.677, 0.591], [0.325, 0.091, 0.177], [0.898, 0.432, 0.740], [0.592, 0.367, 0.413], [0.690, 0.057, 0.134], [0.398, 0.240, 0.932], [0.432, 0.740, 0.898], [0.557, 0.190, 0.634], [0.913, 0.867, 0.092], [0.591, 0.825, 0.677], [0.134, 0.690, 0.057], [0.092, 0.913, 0.867], [0.367, 0.413, 0.592], [0.057, 0.134, 0.690], [0.740, 0.898, 0.432], [0.932, 0.398, 0.240], [0.677, 0.591, 0.825], [0.177, 0.325, 0.091], [0.331, 0.988, 0.692], [0.831, 0.192, 0.488], [0.488, 0.831, 0.192], [0.192, 0.488, 0.831], [0.988, 0.692, 0.331], [0.692, 0.331, 0.988], [0.807, 0.565, 0.720], [0.503, 0.318, 0.552], [0.720, 0.807, 0.565], [0.065, 0.307, 0.220], [0.818, 0.003, 0.052], [0.220, 0.065, 0.307], [0.003, 0.052, 0.818], [0.552, 0.503, 0.318], [0.565, 0.720, 0.807], [0.052, 0.818, 0.003], [0.318, 0.552, 0.503], [0.307, 0.220, 0.065]],
  "e_tot_ev_per_atom": -6.8566,
  "e_above_lowest_polymorph_mev_per_atom": 67.6,
  "ef_kcal_per_mol_atoms": -54.92
}